[1]
Density functional theory data (PBE-GGA) for a geometry-optimized Rb2TeH6SeO10 structure.

Output
Calculated formation energy = -1.4457 eV/atom
ΔE to the lowest computed polymorph = 0.051 eV per atom
DFT total energy = -5.024 eV per atom

Cell: 13.9529 6.8695 12.4784 Å, 90.00 108.37 90.00°
Space group P2_1/c (No. 14)
Symmetry-distinct sites (fractional):
Rb: 0.1572 0.0219 0.3283 [4 per cell]
Rb: 0.3399 0.5250 0.5704 [4 per cell]
Te: 0.0000 0.0000 0.0000 [2 per cell]
Te: 0.5000 0.0000 0.5000 [2 per cell]
H: 0.0242 0.6713 0.9368 [4 per cell]
H: 0.0973 0.0665 0.8688 [4 per cell]
H: 0.1441 0.7279 0.5941 [4 per cell]
H: 0.3640 0.7068 0.8697 [4 per cell]
H: 0.3881 0.2467 0.8762 [4 per cell]
H: 0.4822 0.0078 0.2990 [4 per cell]
Se: 0.2501 0.5082 0.2355 [4 per cell]
O: 0.0182 0.2217 0.1041 [4 per cell]
O: 0.0507 0.1510 0.8963 [4 per cell]
O: 0.1364 0.5792 0.5859 [4 per cell]
O: 0.1739 0.5510 0.1031 [4 per cell]
O: 0.1898 0.5499 0.3310 [4 per cell]
O: 0.2915 0.2225 0.7494 [4 per cell]
O: 0.3467 0.6664 0.2634 [4 per cell]
O: 0.3666 0.6145 0.9358 [4 per cell]
O: 0.4443 0.2414 0.9505 [4 per cell]
O: 0.4654 0.0500 0.6378 [4 per cell]

---

[2]
Density functional theory data (PBE-GGA) for a geometry-optimized NdB4 structure.

Output
Calculated formation energy = 0.2304 eV/atom
ΔE to the lowest computed polymorph = 0.792 eV per atom
DFT total energy = -6.067 eV per atom

Cell: 5.6123 6.6024 4.2539 Å, 90.00 129.12 90.00°
Space group C2/m (No. 12)
Symmetry-distinct sites (fractional):
Nd: 0.0000 0.0000 0.0000 [2 per cell]
B: 0.1304 0.3685 0.2639 [8 per cell]

---

[3]
Density functional theory data (PBE-GGA) for a geometry-optimized CsLiAcO3 structure.

Output
Calculated formation energy = -2.2964 eV/atom
ΔE to the lowest computed polymorph = 0.000 eV per atom
DFT total energy = -5.581 eV per atom

Cell: 6.5358 6.5358 9.5711 Å, 90.00 90.00 120.00°
Space group R3m (No. 160, hexagonal axes)
Symmetry-distinct sites (fractional):
Cs: 0.0000 0.0000 0.0000 [3 per cell]
Li: 0.0000 0.0000 0.3119 [3 per cell]
Ac: 0.0000 0.0000 0.5967 [3 per cell]
O: 0.0248 0.5124 0.0656 [9 per cell]

---

[4]
Density functional theory data (PBE-GGA) for a geometry-optimized MgSi2 structure.

Output
Calculated formation energy = 0.1848 eV/atom
ΔE to the lowest computed polymorph = 0.107 eV per atom
DFT total energy = -4.013 eV per atom

Cell: 5.9989 7.0446 10.1225 Å, 94.79 98.60 90.09°
Space group P1 (No. 1)
Symmetry-distinct sites (fractional):
Mg: 0.0000 0.0000 0.0000 [1 per cell]
Mg: 0.0503 0.6360 0.1670 [1 per cell]
Mg: 0.1489 0.1272 0.4663 [1 per cell]
Mg: 0.3936 0.7881 0.6830 [1 per cell]
Mg: 0.5004 0.0815 0.9924 [1 per cell]
Mg: 0.5566 0.5524 0.1871 [1 per cell]
Mg: 0.6412 0.0559 0.4763 [1 per cell]
Mg: 0.9116 0.8535 0.7073 [1 per cell]
Si: 0.0887 0.4781 0.6659 [1 per cell]
Si: 0.1837 0.3734 0.9583 [1 per cell]
Si: 0.2141 0.1671 0.7501 [1 per cell]
Si: 0.2725 0.2617 0.2094 [1 per cell]
Si: 0.2782 0.7042 0.9378 [1 per cell]
Si: 0.3300 0.7471 0.4106 [1 per cell]
Si: 0.3749 0.9281 0.2198 [1 per cell]
Si: 0.4543 0.4357 0.4843 [1 per cell]
Si: 0.6194 0.1600 0.7469 [1 per cell]
Si: 0.6777 0.6991 0.9266 [1 per cell]
Si: 0.7021 0.4888 0.7115 [1 per cell]
Si: 0.7769 0.9268 0.2291 [1 per cell]
Si: 0.7859 0.3710 0.9671 [1 per cell]
Si: 0.8382 0.4221 0.4388 [1 per cell]
Si: 0.8759 0.2594 0.2189 [1 per cell]
Si: 0.9344 0.7551 0.4335 [1 per cell]

---

[5]
Density functional theory data (PBE-GGA) for a geometry-optimized LaPrTl2 structure.

Output
Calculated formation energy = -0.4101 eV/atom
DFT total energy = -4.021 eV per atom

Cell: 7.9408 7.9408 7.9408 Å, 90.00 90.00 90.00°
Space group Fm-3m (No. 225)
Symmetry-distinct sites (fractional):
La: 0.0000 0.0000 0.0000 [4 per cell]
Pr: 0.0000 0.0000 0.5000 [4 per cell]
Tl: 0.2500 0.2500 0.2500 [8 per cell]

---

[6]
Density functional theory data (PBE-GGA) for a geometry-optimized K3Ta2S11 structure.

Output
Calculated formation energy = -1.1961 eV/atom
DFT total energy = -5.385 eV per atom

Cell: 36.0758 8.0662 12.5463 Å, 90.00 100.48 90.00°
Space group C2/c (No. 15)
Symmetry-distinct sites (fractional):
K: 0.0321 0.1760 0.0946 [8 per cell]
K: 0.1171 0.2710 0.8291 [8 per cell]
K: 0.2105 0.3498 0.2567 [8 per cell]
Ta: 0.0834 0.1994 0.4281 [8 per cell]
Ta: 0.1772 0.2154 0.5793 [8 per cell]
S: 0.0387 0.4345 0.4307 [8 per cell]
S: 0.0449 0.0102 0.8545 [8 per cell]
S: 0.0515 0.3039 0.5750 [8 per cell]
S: 0.1050 0.3226 0.2740 [8 per cell]
S: 0.1204 0.0457 0.5927 [8 per cell]
S: 0.1319 0.4476 0.5514 [8 per cell]
S: 0.1398 0.1389 0.3575 [8 per cell]
S: 0.1633 0.0848 0.0523 [8 per cell]
S: 0.1831 0.4855 0.4970 [8 per cell]
S: 0.2019 0.2411 0.7557 [8 per cell]
S: 0.2336 0.1392 0.5037 [8 per cell]

---

> What is the DFT total energy in the third record?

-5.581 eV per atom

---

> Look up the calculated formation energy of the first one.

-1.4457 eV/atom